TbFe6Sn6: relaxed, PBE-GGA.

Results
crystal system: orthorhombic
ρ: 8.76 g/cm3
space-group type: Cmcm
energy relative to the elements: -0.1142 eV per atom

Cell and atoms, written as CIF:
```
data_TbFe6Sn6
_cell_length_a 10.397
_cell_length_b 10.397
_cell_length_c 5.433
_cell_angle_alpha 90.00
_cell_angle_beta 90.00
_cell_angle_gamma 128.86
_space_group_name_H-M_alt 'P 1'
_space_group_IT_number 1
loop_
_space_group_symop_operation_xyz
'x,y,z'
loop_
_atom_site_label
_atom_site_type_symbol
_atom_site_fract_x
_atom_site_fract_y
_atom_site_fract_z
Tb1 Tb 0.872 0.128 0.750
Tb2 Tb 0.128 0.872 0.250
Fe1 Fe 0.500 0.000 0.000
Fe2 Fe 0.500 0.000 0.500
Fe3 Fe 0.000 0.500 0.000
Fe4 Fe 0.000 0.500 0.500
Fe5 Fe 0.754 0.754 0.000
Fe6 Fe 0.246 0.246 0.500
Fe7 Fe 0.246 0.246 0.000
Fe8 Fe 0.754 0.754 0.500
Fe9 Fe 0.628 0.878 0.250
Fe10 Fe 0.372 0.122 0.750
Fe11 Fe 0.878 0.628 0.750
Fe12 Fe 0.122 0.372 0.250
Sn1 Sn 0.958 0.042 0.250
Sn2 Sn 0.042 0.958 0.750
Sn3 Sn 0.460 0.540 0.250
Sn4 Sn 0.540 0.460 0.750
Sn5 Sn 0.789 0.211 0.250
Sn6 Sn 0.211 0.789 0.750
Sn7 Sn 0.295 0.705 0.250
Sn8 Sn 0.705 0.295 0.750
Sn9 Sn 0.539 0.787 0.750
Sn10 Sn 0.461 0.213 0.250
Sn11 Sn 0.787 0.539 0.250
Sn12 Sn 0.213 0.461 0.750
```

---

Tb4FeSn8: relaxed, PBE-GGA.

Results
crystal system: orthorhombic
ρ: 8.24 g/cm3
space-group type: Pmm2
energy relative to the elements: -0.5028 eV per atom

Cell and atoms, written as CIF:
```
data_Tb4FeSn8
_cell_length_a 4.430
_cell_length_b 4.468
_cell_length_c 16.717
_cell_angle_alpha 90.00
_cell_angle_beta 90.00
_cell_angle_gamma 90.00
_space_group_name_H-M_alt 'P 1'
_space_group_IT_number 1
loop_
_space_group_symop_operation_xyz
'x,y,z'
loop_
_atom_site_label
_atom_site_type_symbol
_atom_site_fract_x
_atom_site_fract_y
_atom_site_fract_z
Tb1 Tb 0.000 0.000 0.096
Tb2 Tb 0.000 0.500 0.603
Tb3 Tb 0.500 0.500 0.395
Tb4 Tb 0.500 0.000 0.900
Fe1 Fe 0.000 0.000 0.306
Sn1 Sn 0.000 0.000 0.456
Sn2 Sn 0.000 0.500 0.936
Sn3 Sn 0.500 0.500 0.061
Sn4 Sn 0.500 0.000 0.574
Sn5 Sn 0.000 0.500 0.236
Sn6 Sn 0.000 0.000 0.750
Sn7 Sn 0.500 0.000 0.236
Sn8 Sn 0.500 0.500 0.753
```